# 1
A plane-wave DFT calculation with PBE was carried out for a relaxed structure of K5TaTl2As4.

```
data_K5TaTl2As4
_cell_length_a 18.940
_cell_length_b 10.793
_cell_length_c 7.805
_cell_angle_alpha 90.00
_cell_angle_beta 90.00
_cell_angle_gamma 90.00
_symmetry_space_group_name_H-M 'P n m a'
_symmetry_Int_Tables_number 62
loop_
_symmetry_equiv_pos_as_xyz
'x,y,z'
'-x,-y,-z'
'-x+1/2,-y,z+1/2'
'x+1/2,y,-z+1/2'
'x+1/2,-y+1/2,-z+1/2'
'-x+1/2,y+1/2,z+1/2'
'-x,y+1/2,-z'
'x,-y+1/2,z'
loop_
_atom_site_label
_atom_site_fract_x
_atom_site_fract_y
_atom_site_fract_z
K1 0.021 0.250 0.106
K2 0.078 0.025 0.693
K3 0.248 0.555 0.478
Ta1 0.163 0.750 0.084
Tl1 0.051 0.750 0.426
Tl2 0.182 0.250 0.319
As1 0.101 0.561 0.197
As2 0.163 0.750 0.763
As3 0.208 0.250 0.671
```

Computed properties:
Total energy in eV/atom: -3.850

# 2
A plane-wave DFT calculation with PBE was carried out for a relaxed structure of K2Te2As.

```
data_K2Te2As
_cell_length_a 20.494
_cell_length_b 8.368
_cell_length_c 9.223
_cell_angle_alpha 90.00
_cell_angle_beta 90.00
_cell_angle_gamma 90.00
_symmetry_space_group_name_H-M 'P n m a'
_symmetry_Int_Tables_number 62
loop_
_symmetry_equiv_pos_as_xyz
'x,y,z'
'-x,-y,-z'
'-x+1/2,-y,z+1/2'
'x+1/2,y,-z+1/2'
'x+1/2,-y+1/2,-z+1/2'
'-x+1/2,y+1/2,z+1/2'
'-x,y+1/2,-z'
'x,-y+1/2,z'
loop_
_atom_site_label
_atom_site_fract_x
_atom_site_fract_y
_atom_site_fract_z
K1 0.043 0.250 0.080
K2 0.057 0.750 0.425
K3 0.188 0.250 0.498
K4 0.216 0.250 0.896
Te1 0.082 0.003 0.739
Te2 0.179 0.508 0.181
As1 0.113 0.750 0.073
As2 0.151 0.750 0.813
```

Computed properties:
Total energy in eV/atom: -3.319

# 3
A plane-wave DFT calculation with PBE was carried out for a relaxed structure of KZnAs.

```
data_KZnAs
_cell_length_a 4.2612
_cell_length_b 4.2612
_cell_length_c 5.2595
_cell_angle_alpha 90.00
_cell_angle_beta 90.00
_cell_angle_gamma 120.00
_symmetry_space_group_name_H-M 'P -6 m 2'
_symmetry_Int_Tables_number 187
_symmetry_space_group_name_Hall 'P -6 2'
loop_
_atom_site_label
_atom_site_fract_x
_atom_site_fract_y
_atom_site_fract_z
K1 0.0000 0.0000 0.0000
Zn1 0.3333 0.6667 0.5000
As1 0.6667 0.3333 0.5000
```

Computed properties:
Piezoelectric modulus e_max in C/m2: 0.3
Total energy in eV/atom: -2.811

# 4
A plane-wave DFT calculation with PBE was carried out for a relaxed structure of KZnAs.

```
data_KZnAs
_cell_length_a 4.2712
_cell_length_b 4.2712
_cell_length_c 10.4138
_cell_angle_alpha 90.00
_cell_angle_beta 90.00
_cell_angle_gamma 120.00
_symmetry_space_group_name_H-M 'P 63/m m c'
_symmetry_Int_Tables_number 194
_symmetry_space_group_name_Hall '-P 6c 2c'
loop_
_atom_site_label
_atom_site_fract_x
_atom_site_fract_y
_atom_site_fract_z
K1 0.0000 0.0000 0.0000
Zn1 0.3333 0.6667 0.2500
As1 0.3333 0.6667 0.7500
```

Computed properties:
Total energy in eV/atom: -2.819

# 5
A plane-wave DFT calculation with PBE was carried out for a relaxed structure of K2Zn5As4.

```
data_K2Zn5As4
_cell_length_a 11.729
_cell_length_b 7.172
_cell_length_c 11.773
_cell_angle_alpha 90.00
_cell_angle_beta 90.00
_cell_angle_gamma 90.00
_symmetry_space_group_name_H-M 'C m c m'
_symmetry_Int_Tables_number 63
_symmetry_space_group_name_Hall '-C 2c 2'
loop_
_atom_site_label
_atom_site_fract_x
_atom_site_fract_y
_atom_site_fract_z
K1 0.214 0.000 0.000
Zn1 0.000 0.007 0.250
Zn2 0.000 0.348 0.609
Zn3 0.143 0.386 0.250
As1 0.000 0.277 0.099
As2 0.158 0.242 0.750
```

Computed properties:
Total energy in eV/atom: -2.808

# 6
A plane-wave DFT calculation with PBE was carried out for a relaxed structure of LaAs.

```
data_LaAs
_cell_length_a 6.196
_cell_length_b 6.196
_cell_length_c 6.196
_cell_angle_alpha 90.00
_cell_angle_beta 90.00
_cell_angle_gamma 90.00
_symmetry_space_group_name_H-M 'F m -3 m'
_symmetry_Int_Tables_number 225
_symmetry_space_group_name_Hall '-F 4 2 3'
loop_
_atom_site_label
_atom_site_fract_x
_atom_site_fract_y
_atom_site_fract_z
La1 0.000 0.000 0.000
As1 0.000 0.000 0.500
```

Computed properties:
Total energy in eV/atom: -6.361

# 7
A plane-wave DFT calculation with PBE was carried out for a relaxed structure of LaAs2.

```
data_LaAs2
_cell_length_a 4.239
_cell_length_b 6.988
_cell_length_c 10.781
_cell_angle_alpha 90.00
_cell_angle_beta 106.91
_cell_angle_gamma 90.00
_symmetry_space_group_name_H-M 'P 1 21/c 1'
_symmetry_Int_Tables_number 14
loop_
_symmetry_equiv_pos_as_xyz
'x,y,z'
'-x,-y,-z'
'-x,y+1/2,-z+1/2'
'x,-y+1/2,z+1/2'
loop_
_atom_site_label
_atom_site_fract_x
_atom_site_fract_y
_atom_site_fract_z
La1 0.089 0.185 0.361
As1 0.277 0.623 0.450
As2 0.463 0.147 0.671
```

Computed properties:
Total energy in eV/atom: -5.810

# 8
A plane-wave DFT calculation with PBE was carried out for a relaxed structure of LaAs3.

```
data_LaAs3
_cell_length_a 6.3139
_cell_length_b 6.3139
_cell_length_c 5.8198
_cell_angle_alpha 90.00
_cell_angle_beta 90.00
_cell_angle_gamma 120.00
_symmetry_space_group_name_H-M 'P 63/m m c'
_symmetry_Int_Tables_number 194
_symmetry_space_group_name_Hall '-P 6c 2c'
loop_
_atom_site_label
_atom_site_fract_x
_atom_site_fract_y
_atom_site_fract_z
La1 0.3333 0.6667 0.2500
As1 0.1984 0.3968 0.7500
```

Computed properties:
Total energy in eV/atom: -5.352